DFT (meta-GGA r2SCAN) results for a relaxed structure of MgH20S2N2O14.

Summary:
The value obtained for the energy relative to the elements is -1173 meV/atom.

```
data_MgH20S2N2O14
_cell_length_a 6.218
_cell_length_b 12.302
_cell_length_c 9.106
_cell_angle_alpha 90.00
_cell_angle_beta 107.42
_cell_angle_gamma 90.00
_space_group_name_H-M_alt 'P 1 21/c 1'
_space_group_IT_number 14
loop_
_space_group_symop_operation_xyz
'x,y,z'
'-x,-y,-z'
'-x,y+1/2,-z+1/2'
'x,-y+1/2,z+1/2'
loop_
_atom_site_label
_atom_site_fract_x
_atom_site_fract_y
_atom_site_fract_z
_atom_site_occupancy
Mg1 0.000 0.000 0.000 1
H1 0.000 0.189 0.143 1
H2 0.052 0.096 0.269 1
H3 0.097 0.622 0.756 1
H4 0.197 0.670 0.072 1
H5 0.325 0.148 0.024 1
H6 0.325 0.588 0.723 1
H7 0.343 0.059 0.906 1
H8 0.382 0.578 0.173 1
H9 0.398 0.708 0.235 1
H10 0.462 0.679 0.073 1
S1 0.259 0.130 0.587 1
N1 0.360 0.659 0.140 1
O1 0.034 0.613 0.339 1
O2 0.052 0.175 0.613 1
O3 0.166 0.606 0.675 1
O4 0.204 0.063 0.449 1
O5 0.299 0.070 0.000 1
O6 0.383 0.063 0.722 1
O7 0.409 0.221 0.573 1
```